(1)
Entry from the Materials Project database: a geometry-optimized SrCd2Ge2 structure (meta-GGA r2SCAN).

Its crystal system is tetragonal. The total magnetization comes out at 0.000 μB per atom.

The space group is I4/mmm (No. 139) and the conventional cell measures 4.5273, 4.5273 and 11.6902 Å, with angles of 90.00, 90.00 and 90.00 degrees. The asymmetric unit holds Sr at (0.0000, 0.0000, 0.0000), Cd at (0.0000, 0.5000, 0.2500) and Ge at (0.0000, 0.0000, 0.3914).

---

(2)
Entry from the Materials Project database: a geometry-optimized TbPd structure (meta-GGA r2SCAN).

Its crystal system is orthorhombic. The total magnetization comes out at 0.000 μB per atom.

The space group is Cmcm (No. 63) and the conventional cell measures 3.7057, 10.5211 and 4.5744 Å, with angles of 90.00, 90.00 and 90.00 degrees. The asymmetric unit holds Tb at (0.0000, 0.1368, 0.2500) and Pd at (0.0000, 0.4138, 0.2500).

---

(3)
Entry from the Materials Project database: a geometry-optimized AgBi2F12 structure (meta-GGA r2SCAN).

Its crystal system is triclinic. The total magnetization comes out at 0.067 μB per atom.

The space group is P-1 (No. 2) and the conventional cell measures 5.1251, 5.5828 and 8.7841 Å, with angles of 76.29, 89.22 and 65.48 degrees. The asymmetric unit holds Ag at (0.0000, 0.0000, 0.0000), Bi at (0.2230, 0.5247, 0.7191), F at (0.1712, 0.2620, 0.6165), F at (0.1910, 0.2738, 0.9341), F at (0.1954, 0.2424, 0.2800), F at (0.2818, 0.7454, 0.8694), F at (0.3049, 0.7582, 0.5338) and F at (0.3508, 0.7098, 0.2165).

---

We obtain formation energy from the elements values of -0.350 -0.952 -1.785 eV per atom for the records listed above, in that order.